# 1
First-principles (r²SCAN) data for a relaxed Zn3Ru crystal, as listed in the Materials Project.

a b c (Å): 3.750 3.750 15.364
angles (deg): 90.00 90.00 90.00
Space group I4/mmm (No. 139)
One atom of each set of equivalent atoms:
Zn 0.000 0.000 0.129
Zn 0.000 0.500 0.000
Zn 0.000 0.500 0.250
Ru 0.000 0.000 0.383

Properties
E_form = -0.159 eV per atom
electronic total energy = -13.198 eV/atom
theoretical density = 9142 kg/m3
spin magnetization = 0.00 μB/cell



# 2
First-principles (r²SCAN) data for a relaxed ErGa2Ni crystal, as listed in the Materials Project.

a b c (Å): 4.081 9.916 6.563
angles (deg): 90.00 90.00 90.00
Space group Cmcm (No. 63)
One atom of each set of equivalent atoms:
Er 0.000 0.073 0.250
Ga 0.000 0.357 0.054
Ni 0.000 0.210 0.750

Properties
E_form = -0.701 eV per atom
electronic total energy = -17.900 eV/atom
theoretical density = 9140 kg/m3
spin magnetization = 0.00 μB/cell



# 3
First-principles (r²SCAN) data for a relaxed K2FeO4 crystal, as listed in the Materials Project.

a b c (Å): 7.638 5.791 10.244
angles (deg): 90.00 90.00 90.00
Space group Pnma (No. 62)
One atom of each set of equivalent atoms:
K 0.014 0.250 0.196
K 0.160 0.750 0.412
Fe 0.230 0.750 0.078
O 0.016 0.750 0.084
O 0.192 0.019 0.651
O 0.199 0.250 0.426

Properties
E_form = -1.554 eV per atom
electronic total energy = -8.745 eV/atom
theoretical density = 2903 kg/m3
spin magnetization = 8.00 μB/cell



# 4
First-principles (r²SCAN) data for a relaxed RbAu3Se2 crystal, as listed in the Materials Project.

a b c (Å): 6.2271 6.2271 5.3038
angles (deg): 90.00 90.00 120.00
Space group P-3m1 (No. 164)
One atom of each set of equivalent atoms:
Rb 0.0000 0.0000 0.0000
Au 0.0000 0.5000 0.5000
Se 0.3333 0.6667 0.1837

Properties
E_form = -0.506 eV per atom
electronic total energy = -32.890 eV/atom
theoretical density = 7778 kg/m3
spin magnetization = 0.00 μB/cell



# 5
First-principles (r²SCAN) data for a relaxed Pr3P6Pd20 crystal, as listed in the Materials Project.

a b c (Å): 12.310 12.310 12.310
angles (deg): 90.00 90.00 90.00
Space group Fm-3m (No. 225)
One atom of each set of equivalent atoms:
Pr 0.000 0.000 0.000
Pr 0.250 0.250 0.250
P 0.000 0.000 0.263
Pd 0.000 0.174 0.174
Pd 0.114 0.114 0.386

Properties
E_form = -0.721 eV per atom
electronic total energy = -21.460 eV/atom
theoretical density = 9744 kg/m3
spin magnetization = 0.00 μB/cell



# 6
First-principles (r²SCAN) data for a relaxed K2ZnS2 crystal, as listed in the Materials Project.

a b c (Å): 6.718 12.635 6.169
angles (deg): 90.00 90.00 90.00
Space group Ibam (No. 72)
One atom of each set of equivalent atoms:
K 0.166 0.145 0.000
Zn 0.000 0.500 0.250
S 0.188 0.398 0.000

Properties
E_form = -1.253 eV per atom
electronic total energy = -8.656 eV/atom
theoretical density = 2635 kg/m3
spin magnetization = 0.00 μB/cell